1.
The following is a DFT calculation (r2SCAN) of an optimized crystal structure of CdS2.

Calculated values
- DFT total energy: -150.30 eV for the cell shown
- Calculated formation energy: -0.47 eV/atom

Cell lengths 6.3535, 6.3535, 6.3535 Å; angles 90.00, 90.00, 90.00 degrees
Fractional coordinates of all 12 atoms:
Cd 0.0000 0.0000 0.0000
Cd 0.0000 0.5000 0.5000
Cd 0.5000 0.0000 0.5000
Cd 0.5000 0.5000 0.0000
S 0.0942 0.5942 0.9058
S 0.0942 0.9058 0.4058
S 0.4058 0.0942 0.9058
S 0.4058 0.4058 0.4058
S 0.5942 0.5942 0.5942
S 0.5942 0.9058 0.0942
S 0.9058 0.0942 0.5942
S 0.9058 0.4058 0.0942

---

2.
The following is a DFT calculation (r2SCAN) of an optimized crystal structure of CdS.

Calculated values
- DFT total energy: -29.69 eV for the cell shown
- Calculated formation energy: -0.77 eV/atom

Cell lengths 4.1620, 4.1620, 4.1620 Å; angles 60.00, 60.00, 60.00 degrees
Fractional coordinates of all 2 atoms:
Cd 0.0000 0.0000 0.0000
S 0.2500 0.2500 0.2500

---

3.
The following is a DFT calculation (r2SCAN) of an optimized crystal structure of CdS.

Calculated values
- DFT total energy: -59.38 eV for the cell shown
- Calculated formation energy: -0.78 eV/atom

Cell lengths 4.1688, 4.1688, 6.7796 Å; angles 90.00, 90.00, 120.00 degrees
Fractional coordinates of all 4 atoms:
Cd 0.3333 0.6667 0.0000
Cd 0.6667 0.3333 0.5000
S 0.3333 0.6667 0.3766
S 0.6667 0.3333 0.8766

---

4.
The following is a DFT calculation (r2SCAN) of an optimized crystal structure of ZnCd3S4.

Calculated values
- DFT total energy: -107.84 eV for the cell shown
- Calculated formation energy: -0.81 eV/atom

Cell lengths 5.7595, 5.7595, 5.7595 Å; angles 90.00, 90.00, 90.00 degrees
Fractional coordinates of all 8 atoms:
Zn 0.0000 0.0000 0.0000
Cd 0.0000 0.5000 0.5000
Cd 0.5000 0.0000 0.5000
Cd 0.5000 0.5000 0.0000
S 0.2364 0.2364 0.2364
S 0.2364 0.7636 0.7636
S 0.7636 0.2364 0.7636
S 0.7636 0.7636 0.2364

---

5.
The following is a DFT calculation (r2SCAN) of an optimized crystal structure of CdSb.

Calculated values
- DFT total energy: -368.02 eV for the cell shown
- Calculated formation energy: -0.10 eV/atom

Cell lengths 6.5411, 8.3331, 8.6482 Å; angles 90.00, 90.00, 90.00 degrees
Fractional coordinates of all 16 atoms:
Cd 0.0475 0.1193 0.1346
Cd 0.0475 0.3807 0.6346
Cd 0.4525 0.6193 0.1346
Cd 0.4525 0.8807 0.6346
Cd 0.5475 0.1193 0.3654
Cd 0.5475 0.3807 0.8654
Cd 0.9525 0.6193 0.3654
Cd 0.9525 0.8807 0.8654
Sb 0.1387 0.5752 0.8977
Sb 0.1387 0.9248 0.3977
Sb 0.3613 0.0752 0.8977
Sb 0.3613 0.4248 0.3977
Sb 0.6387 0.5752 0.6023
Sb 0.6387 0.9248 0.1023
Sb 0.8613 0.0752 0.6023
Sb 0.8613 0.4248 0.1023

---

6.
The following is a DFT calculation (r2SCAN) of an optimized crystal structure of YbCd2Sb2.

Calculated values
- DFT total energy: -130.01 eV for the cell shown
- Calculated formation energy: -0.37 eV/atom

Cell lengths 4.8108, 4.8108, 6.9382 Å; angles 90.00, 90.00, 120.00 degrees
Fractional coordinates of all 5 atoms:
Yb 0.0000 0.0000 0.0000
Cd 0.3333 0.6667 0.3510
Cd 0.6667 0.3333 0.6490
Sb 0.3333 0.6667 0.7747
Sb 0.6667 0.3333 0.2253

---

7.
The following is a DFT calculation (r2SCAN) of an optimized crystal structure of ScCd.

Calculated values
- DFT total energy: -32.15 eV for the cell shown
- Calculated formation energy: -0.32 eV/atom

Cell lengths 3.5263, 3.5263, 3.5263 Å; angles 90.00, 90.00, 90.00 degrees
Fractional coordinates of all 2 atoms:
Sc 0.0000 0.0000 0.0000
Cd 0.5000 0.5000 0.5000

---

8.
The following is a DFT calculation (r2SCAN) of an optimized crystal structure of ScCd3.

Calculated values
- DFT total energy: -145.30 eV for the cell shown
- Calculated formation energy: -0.23 eV/atom

Cell lengths 6.3542, 6.3542, 4.8475 Å; angles 90.00, 90.00, 120.00 degrees
Fractional coordinates of all 8 atoms:
Sc 0.3333 0.6667 0.2500
Sc 0.6667 0.3333 0.7500
Cd 0.1659 0.3318 0.7500
Cd 0.1659 0.8341 0.7500
Cd 0.3318 0.1659 0.2500
Cd 0.6682 0.8341 0.7500
Cd 0.8341 0.1659 0.2500
Cd 0.8341 0.6682 0.2500